1.
DFT (PBE-GGA) results for a relaxed Dy3Ge5 crystal.

Structure (POSCAR):
```
Dy3Ge5
1.0
0.000 6.885 8.701
2.889 0.000 8.701
2.889 6.885 0.000
Dy Ge
6 10
direct
0.996 0.004 0.996 Dy
0.246 0.254 0.246 Dy
0.940 0.896 0.568 Dy
0.568 0.597 0.940 Dy
0.653 0.682 0.354 Dy
0.354 0.310 0.653 Dy
0.442 0.558 0.442 Ge
0.692 0.808 0.692 Ge
0.403 0.470 0.897 Ge
0.897 0.230 0.403 Ge
0.020 0.353 0.780 Ge
0.780 0.847 0.020 Ge
0.500 0.325 0.165 Ge
0.165 0.009 0.500 Ge
0.241 0.085 0.925 Ge
0.925 0.750 0.241 Ge
```

Space group: Fdd2, No. 43
Crystal system: orthorhombic
E (eV per atom): -5.3264

2.
DFT (PBE-GGA) results for a relaxed Dy3Ge4 crystal.

Structure (POSCAR):
```
Dy3Ge4
1.0
2.030 -5.361 0.000
2.030 5.361 0.000
0.000 0.000 14.349
Dy Ge
6 8
direct
0.838 0.162 0.597 Dy
0.162 0.838 0.403 Dy
0.838 0.162 0.903 Dy
0.162 0.838 0.097 Dy
0.556 0.444 0.750 Dy
0.444 0.556 0.250 Dy
0.284 0.716 0.750 Ge
0.716 0.284 0.250 Ge
0.129 0.871 0.609 Ge
0.500 0.500 0.500 Ge
0.129 0.871 0.891 Ge
0.871 0.129 0.391 Ge
0.500 0.500 0.000 Ge
0.871 0.129 0.109 Ge
```

Space group: Cmcm, No. 63
Crystal system: orthorhombic
E (eV per atom): -5.3973

3.
DFT (PBE-GGA) results for a relaxed DyGe crystal.

Structure (POSCAR):
```
DyGe
1.0
3.944 3.802 1.881
-5.184 0.264 -2.570
-1.758 0.066 3.552
Dy Ge
2 2
direct
0.138 0.862 0.250 Dy
0.862 0.138 0.750 Dy
0.415 0.585 0.250 Ge
0.585 0.415 0.750 Ge
```

Space group: Cmcm, No. 63
Crystal system: orthorhombic
E (eV per atom): -5.4845

4.
DFT (PBE-GGA) results for a relaxed Dy2Ge3 crystal.

Structure (POSCAR):
```
Dy2Ge3
1.0
2.204 -3.817 0.000
2.204 3.817 0.000
0.000 0.000 7.043
Dy Ge
2 3
direct
0.000 0.000 0.730 Dy
0.000 0.000 0.270 Dy
0.333 0.667 0.000 Ge
0.667 0.333 0.500 Ge
0.667 0.333 0.000 Ge
```

Space group: P-6m2, No. 187
Crystal system: hexagonal
E (eV per atom): -5.1025
Spin magnetization (μB per formula unit): 0.000

5.
DFT (PBE-GGA) results for a relaxed Dy5Ge3 crystal.

Structure (POSCAR):
```
Dy5Ge3
1.0
-2.938 7.908 1.112
-5.381 -6.307 -1.916
-0.831 -1.186 6.239
Dy Ge
10 6
direct
0.667 0.333 0.000 Dy
0.333 0.667 0.000 Dy
0.333 0.667 0.500 Dy
0.667 0.333 0.500 Dy
0.758 0.758 0.750 Dy
0.242 0.000 0.750 Dy
0.000 0.242 0.750 Dy
0.242 0.242 0.250 Dy
0.758 0.000 0.250 Dy
0.000 0.758 0.250 Dy
0.393 0.393 0.750 Ge
0.607 0.000 0.750 Ge
0.000 0.607 0.750 Ge
0.607 0.607 0.250 Ge
0.393 0.000 0.250 Ge
0.000 0.393 0.250 Ge
```

Space group: P6_3/mcm, No. 193
Crystal system: hexagonal
E (eV per atom): -5.4071

6.
DFT (PBE-GGA) results for a relaxed Dy11Ge18 crystal.

Structure (POSCAR):
```
Dy11Ge18
1.0
0.000 0.000 -5.710
-6.977 0.000 -2.855
0.000 31.905 -2.855
Dy Ge
22 36
direct
0.908 0.986 0.182 Dy
0.075 0.014 0.818 Dy
0.840 0.486 0.318 Dy
0.643 0.514 0.682 Dy
0.368 0.003 0.274 Dy
0.644 0.997 0.726 Dy
0.391 0.503 0.226 Dy
0.121 0.497 0.774 Dy
0.428 0.006 0.089 Dy
0.523 0.994 0.911 Dy
0.267 0.506 0.411 Dy
0.184 0.494 0.589 Dy
0.794 0.003 0.363 Dy
0.160 0.997 0.637 Dy
0.907 0.503 0.137 Dy
0.546 0.497 0.863 Dy
0.018 0.000 0.000 Dy
0.768 0.500 0.500 Dy
0.275 0.987 0.452 Dy
0.714 0.013 0.548 Dy
0.477 0.487 0.048 Dy
0.012 0.513 0.952 Dy
0.455 0.894 0.182 Ge
0.531 0.106 0.818 Ge
0.387 0.394 0.318 Ge
0.099 0.606 0.682 Ge
0.756 0.838 0.635 Ge
0.228 0.162 0.365 Ge
0.141 0.338 0.865 Ge
0.343 0.662 0.135 Ge
0.041 0.298 0.218 Ge
0.558 0.702 0.782 Ge
0.010 0.798 0.282 Ge
0.090 0.202 0.718 Ge
0.711 0.660 0.407 Ge
0.779 0.340 0.593 Ge
0.868 0.160 0.093 Ge
0.121 0.840 0.907 Ge
0.826 0.878 0.457 Ge
0.161 0.122 0.543 Ge
0.033 0.378 0.043 Ge
0.454 0.622 0.957 Ge
0.356 0.798 0.355 Ge
0.509 0.202 0.645 Ge
0.460 0.298 0.145 Ge
0.904 0.702 0.855 Ge
0.794 0.661 0.229 Ge
0.683 0.339 0.771 Ge
0.772 0.161 0.271 Ge
0.204 0.839 0.729 Ge
0.991 0.798 0.082 Ge
0.871 0.202 0.918 Ge
0.823 0.298 0.418 Ge
0.539 0.702 0.582 Ge
0.622 0.815 0.006 Ge
0.443 0.185 0.994 Ge
0.378 0.315 0.494 Ge
0.187 0.685 0.506 Ge
```

Space group: Fdd2, No. 43
Crystal system: orthorhombic
E (eV per atom): -5.3270
Spin magnetization (μB per formula unit): 0.006

7.
DFT (PBE-GGA) results for a relaxed Dy3Ge5 crystal.

Structure (POSCAR):
```
Dy3Ge5
1.0
3.458 -5.990 0.000
3.458 5.990 0.000
0.000 0.000 8.358
Dy Ge
6 10
direct
0.668 0.668 0.000 Dy
0.332 0.000 0.000 Dy
0.000 0.332 0.000 Dy
0.668 0.668 0.500 Dy
0.332 0.000 0.500 Dy
0.000 0.332 0.500 Dy
0.667 0.333 0.750 Ge
0.333 0.667 0.250 Ge
0.000 0.000 0.750 Ge
0.000 0.000 0.250 Ge
0.598 0.929 0.750 Ge
0.071 0.669 0.750 Ge
0.331 0.402 0.750 Ge
0.929 0.598 0.250 Ge
0.669 0.071 0.250 Ge
0.402 0.331 0.250 Ge
```

Space group: P-62c, No. 190
Crystal system: hexagonal
E (eV per atom): -5.3271

8.
DFT (PBE-GGA) results for a relaxed Dy2InGe2 crystal.

Structure (POSCAR):
```
Dy2InGe2
1.0
7.440 0.000 0.000
0.000 7.440 0.000
0.000 0.000 4.182
Dy In Ge
4 2 4
direct
0.178 0.322 0.500 Dy
0.822 0.678 0.500 Dy
0.322 0.822 0.500 Dy
0.678 0.178 0.500 Dy
0.000 0.000 0.000 In
0.500 0.500 0.000 In
0.122 0.622 0.000 Ge
0.878 0.378 0.000 Ge
0.378 0.122 0.000 Ge
0.622 0.878 0.000 Ge
```

Space group: P4/mbm, No. 127
Crystal system: tetragonal
E (eV per atom): -4.9469

9.
DFT (PBE-GGA) results for a relaxed Dy4InNi2Ge4 crystal.

Structure (POSCAR):
```
Dy4InNi2Ge4
1.0
4.242 0.000 0.000
0.000 2.266 6.686
-2.121 -7.760 0.000
Dy In Ni Ge
4 1 2 4
direct
0.656 0.938 0.311 Dy
0.344 0.062 0.689 Dy
0.592 0.391 0.184 Dy
0.408 0.609 0.816 Dy
0.000 0.000 0.000 In
0.783 0.356 0.567 Ni
0.217 0.644 0.433 Ni
0.935 0.338 0.869 Ge
0.065 0.662 0.131 Ge
0.796 0.727 0.592 Ge
0.204 0.273 0.408 Ge
```

Space group: C2/m, No. 12
Crystal system: monoclinic
E (eV per atom): -5.4371
Spin magnetization (μB per formula unit): 0.000

The records above yield calculated volume values of 346.1 312.4 91.8 118.5 401.6 1271.1 346.3 231.5 220.1 Å³ per cell, respectively.
The records above yield E_form values of -709 -781 -870 -486 -794 -710 -710 -705 -780 meV per atom, respectively.